## w
Entry from the Materials Project: a geometry-optimized LaMg6B structure (PBE).

Cell: 6.707 6.707 4.779 Å, 90.00 90.00 122.29°
Atoms (fractional coordinates):
Mg1 0.664 0.815 0.000
La1 0.195 0.805 0.000
Mg2 0.804 0.665 0.500
Mg3 0.825 0.175 0.500
B1 0.327 0.673 0.500
Mg4 0.185 0.336 0.000
Mg5 0.335 0.196 0.500
Mg6 0.664 0.336 0.000

Output
Symmetry   Amm2 (38)

---

## x
Entry from the Materials Project: a geometry-optimized LaMg6B structure (PBE).

Cell: 7.327 7.327 4.743 Å, 90.00 90.00 133.83°
Atoms (fractional coordinates):
Mg1 0.803 0.699 0.500
Mg2 0.641 0.359 0.000
Mg3 0.660 0.817 0.000
B1 0.396 0.604 0.500
Mg4 0.301 0.197 0.500
La1 0.804 0.196 0.500
Mg5 0.213 0.787 0.000
Mg6 0.183 0.340 0.000

Output
Symmetry   Amm2 (38)

---

Most stable: x. Least stable: w.

---

## w
Entry from the Materials Project: a geometry-optimized LaMg14BO16 structure (PBE).

Cell: 8.752 8.793 4.383 Å, 90.00 90.00 90.00°
Atoms (fractional coordinates):
Mg1 0.744 0.735 0.000
Mg2 0.000 0.274 0.500
Mg3 0.267 0.000 0.500
Mg4 0.500 0.745 0.500
B1 0.000 0.500 0.000
O1 0.729 0.500 0.000
Mg5 0.752 0.500 0.500
O2 0.751 0.249 0.500
O3 0.000 0.740 0.000
O4 0.249 0.249 0.500
Mg6 0.500 0.500 0.000
Mg7 0.500 0.000 0.000
Mg8 0.000 0.726 0.500
Mg9 0.733 0.000 0.500
Mg10 0.248 0.500 0.500
O5 0.000 0.500 0.500
O6 0.500 0.500 0.500
O7 0.500 0.250 0.000
O8 0.000 0.260 0.000
O9 0.000 0.000 0.500
O10 0.500 0.750 0.000
Mg11 0.744 0.265 0.000
O11 0.271 0.500 0.000
O12 0.249 0.751 0.500
Mg12 0.256 0.735 0.000
Mg13 0.500 0.255 0.500
Mg14 0.256 0.265 0.000
La1 0.000 0.000 0.000
O13 0.500 0.000 0.500
O14 0.730 0.000 0.000
O15 0.751 0.751 0.500
O16 0.270 0.000 0.000

Output
Symmetry   Pmmm (47)

---

## x
Entry from the Materials Project: a geometry-optimized LaMg14BO16 structure (PBE).

Cell: 8.768 8.768 4.381 Å, 90.00 90.00 90.00°
Atoms (fractional coordinates):
O1 0.732 0.000 0.000
O2 0.500 0.500 0.500
Mg1 0.265 0.735 0.000
Mg2 0.735 0.265 0.000
Mg3 0.500 0.000 0.000
O3 0.235 0.500 0.000
O4 0.000 0.500 0.500
Mg4 0.271 0.000 0.500
B1 0.500 0.500 0.000
O5 0.750 0.750 0.500
O6 0.500 0.765 0.000
Mg5 0.000 0.271 0.500
O7 0.500 0.000 0.500
La1 0.000 0.000 0.000
O8 0.765 0.500 0.000
Mg6 0.500 0.257 0.500
O9 0.500 0.235 0.000
O10 0.250 0.250 0.500
O11 0.250 0.750 0.500
Mg7 0.743 0.500 0.500
Mg8 0.265 0.265 0.000
Mg9 0.500 0.743 0.500
Mg10 0.735 0.735 0.000
O12 0.000 0.732 0.000
Mg11 0.000 0.500 0.000
Mg12 0.729 0.000 0.500
Mg13 0.257 0.500 0.500
O13 0.268 0.000 0.000
O14 0.000 0.000 0.500
O15 0.000 0.268 0.000
Mg14 0.000 0.729 0.500
O16 0.750 0.250 0.500

Output
Symmetry   P4/mmm (123)

---

Most stable: x. Least stable: w.

---

## w
Entry from the Materials Project: a geometry-optimized LaB3O6 structure (PBE).

Cell: 11.834 4.276 7.352 Å, 88.79 90.00 90.00°
Atoms (fractional coordinates):
O1 0.128 0.152 0.889
La1 0.123 0.784 0.380
O2 0.880 0.350 0.954
O3 0.909 0.750 0.438
B1 0.666 0.677 0.789
La2 0.877 0.216 0.620
La3 0.623 0.216 0.120
O4 0.833 0.334 0.264
O5 0.872 0.848 0.111
O6 0.716 0.780 0.308
O7 0.409 0.250 0.062
B2 0.594 0.196 0.626
O8 0.476 0.205 0.681
O9 0.120 0.650 0.046
O10 0.333 0.666 0.236
O11 0.284 0.220 0.692
O12 0.024 0.205 0.181
B3 0.122 0.311 0.072
B4 0.094 0.804 0.874
B5 0.166 0.323 0.711
O13 0.216 0.220 0.192
O14 0.784 0.780 0.808
La4 0.377 0.784 0.880
O15 0.620 0.350 0.454
O16 0.380 0.650 0.546
B6 0.906 0.196 0.126
B7 0.406 0.804 0.374
O17 0.524 0.795 0.319
O18 0.628 0.848 0.611
B8 0.378 0.311 0.572
O19 0.591 0.750 0.938
O20 0.976 0.795 0.819
B9 0.878 0.689 0.928
B10 0.622 0.689 0.428
B11 0.834 0.677 0.289
O21 0.372 0.152 0.389
O22 0.167 0.666 0.736
B12 0.334 0.323 0.211
O23 0.091 0.250 0.562
O24 0.667 0.334 0.764

Output
Symmetry   P2_1/c (14)

---

## x
Entry from the Materials Project: a geometry-optimized LaB3O6 structure (PBE).

Cell: 6.496 6.496 6.580 Å, 61.98 61.98 78.66°
Atoms (fractional coordinates):
B1 0.203 0.342 0.581
O1 0.788 0.618 0.000
O2 0.779 0.010 0.716
B2 0.342 0.203 0.081
B3 0.658 0.797 0.919
O3 0.212 0.382 0.000
La1 0.798 0.202 0.250
O4 0.221 0.990 0.284
O5 0.212 0.583 0.489
O6 0.382 0.212 0.500
O7 0.010 0.779 0.216
O8 0.583 0.212 0.989
O9 0.788 0.417 0.511
B4 0.223 0.777 0.250
B5 0.797 0.658 0.419
La2 0.202 0.798 0.750
O10 0.417 0.788 0.011
O11 0.618 0.788 0.500
B6 0.777 0.223 0.750
O12 0.990 0.221 0.784

Output
Symmetry   C2/c (15)

---

Most stable: x. Least stable: w.

---

## w
Entry from the Materials Project: a geometry-optimized LiB3 structure (PBE).

Cell: 5.981 5.981 4.163 Å, 90.00 90.00 90.00°
Atoms (fractional coordinates):
B1 0.840 0.863 0.000
Li1 0.822 0.678 0.500
B2 0.863 0.160 0.000
Li2 0.678 0.178 0.500
B3 0.660 0.363 0.000
B4 0.500 0.500 0.706
Li3 0.322 0.822 0.500
B5 0.160 0.137 0.000
B6 0.637 0.660 0.000
B7 0.000 0.000 0.294
B8 0.000 0.000 0.706
Li4 0.178 0.322 0.500
B9 0.340 0.637 0.000
B10 0.137 0.840 0.000
B11 0.363 0.340 0.000
B12 0.500 0.500 0.294

Output
Symmetry   P4/mbm (127)

---

## x
Entry from the Materials Project: a geometry-optimized LiB3 structure (PBE).

Cell: 4.122 4.122 4.359 Å, 90.00 90.00 90.00°
Atoms (fractional coordinates):
B1 0.000 0.000 0.298
B2 0.000 0.000 0.702
B3 0.000 0.296 0.000
Li1 0.500 0.500 0.760
B4 0.000 0.704 0.000
B5 0.296 0.000 0.000
B6 0.704 0.000 0.000
Li2 0.500 0.500 0.240

Output
Symmetry   P4/mmm (123)

---

Most stable: w. Least stable: x.

---

## w
Entry from the Materials Project: a geometry-optimized Li5B4 structure (PBE).

Cell: 4.779 4.779 3.818 Å, 85.57 85.57 91.83°
Atoms (fractional coordinates):
Li1 0.165 0.165 0.759
B1 0.849 0.849 0.970
Li2 0.388 0.879 0.239
Li3 0.570 0.570 0.711
Li4 0.879 0.388 0.239
B2 0.888 0.888 0.474
B3 0.657 0.078 0.723
Li5 0.374 0.374 0.237
B4 0.078 0.657 0.723

Output
Symmetry   Cm (8)

---

## x
Entry from the Materials Project: a geometry-optimized Li5B4 structure (PBE).

Cell: 4.797 4.797 4.797 Å, 83.90 83.90 83.90°
Atoms (fractional coordinates):
Li1 0.787 0.787 0.787
Li2 0.712 0.278 0.712
Li3 0.712 0.712 0.278
B1 0.221 0.812 0.221
Li4 0.278 0.712 0.712
B2 0.812 0.221 0.221
B3 0.023 0.023 0.023
B4 0.221 0.221 0.812
Li5 0.310 0.310 0.310

Output
Symmetry   R3m (160)

---

Most stable: w. Least stable: x.

---

## w
Entry from the Materials Project: a geometry-optimized LiMg14B structure (PBE).

Cell: 6.236 6.311 10.005 Å, 90.00 90.00 120.40°
Atoms (fractional coordinates):
Mg1 0.660 0.332 0.625
Mg2 0.830 0.165 0.870
Mg3 0.316 0.670 0.343
Mg4 0.830 0.665 0.369
B1 0.119 0.810 0.125
Mg5 0.316 0.670 0.907
Mg6 0.172 0.336 0.625
Mg7 0.730 0.367 0.125
Mg8 0.316 0.146 0.343
Mg9 0.730 0.862 0.125
Mg10 0.830 0.665 0.881
Mg11 0.660 0.828 0.625
Mg12 0.168 0.834 0.625
Mg13 0.316 0.146 0.907
Mg14 0.830 0.165 0.380
Li1 0.179 0.339 0.125

Output
Symmetry   Amm2 (38)

---

## x
Entry from the Materials Project: a geometry-optimized LiMg14B structure (PBE).

Cell: 6.220 6.220 10.158 Å, 90.00 90.00 120.00°
Atoms (fractional coordinates):
Mg1 0.328 0.172 0.866
Mg2 0.669 0.337 0.625
Mg3 0.844 0.172 0.866
Li1 0.167 0.333 0.125
Mg4 0.844 0.172 0.384
Mg5 0.665 0.835 0.125
Mg6 0.833 0.667 0.371
Mg7 0.328 0.172 0.384
B1 0.167 0.333 0.625
Mg8 0.328 0.656 0.866
Mg9 0.328 0.656 0.384
Mg10 0.833 0.667 0.879
Mg11 0.669 0.831 0.625
Mg12 0.169 0.835 0.125
Mg13 0.665 0.331 0.125
Mg14 0.163 0.831 0.625

Output
Symmetry   P-6m2 (187)

---

Most stable: w. Least stable: x.